Entry from the Materials Project: a relaxed Mn12Ge4N3 crystal (PBE-GGA).

Results
Raw total energy   -8.2822 eV/atom
Formation enthalpy at 0 K   -0.263 eV/atom

a b c (Å): 5.2294 5.2294 7.6604
angles (deg): 90.00 90.00 90.00
Space group P4/m (No. 83)
Inequivalent atoms, fractional coordinates:
Mn 0.0000 0.0000 0.2482 (multiplicity 2)
Mn 0.1892 0.3109 0.5000 (multiplicity 4)
Mn 0.2367 0.7519 0.0000 (multiplicity 4)
Mn 0.5000 0.5000 0.2485 (multiplicity 2)
Ge 0.0000 0.5000 0.2341 (multiplicity 4)
N 0.0000 0.0000 0.5000 (multiplicity 1)
N 0.5000 0.5000 0.0000 (multiplicity 1)
N 0.5000 0.5000 0.5000 (multiplicity 1)